Record 1
VASP calculation (PBE) on a geometry-optimized CuPd structure.

Computed properties:
**SG**: Cmmm, No. 65
**Calculated density**: 10.11 g/cm3
**Crystal system**: orthorhombic
**ΔE_f**: -0.036 eV/atom

Cell: 2.6700 2.6700 4.1880 Å, 90.00 90.00 110.74°
With the nearest neighbours (Å) after each atom.
Atoms (fractional coordinates):
Cu  0.0000  0.0000  0.0000  4 Pd 2.59, 4 Cu 2.67
Pd  0.5000  0.5000  0.5000  4 Cu 2.59, 4 Pd 2.67

=====

Record 2
VASP calculation (PBE) on a geometry-optimized MgTe2Mo2W2Se4S2 structure.

Computed properties:
**Energy above the lowest structure with this stoichiometry**: 7 meV/atom
**SG**: P3m1, No. 156
**Calculated density**: 4.59 g/cm3
**Crystal system**: trigonal
**ΔE_f**: -0.539 eV/atom

Cell: 3.3342 3.3342 45.7691 Å, 89.99 90.00 120.00°
With the nearest neighbours (Å) after each atom.
Atoms (fractional coordinates):
Mo  0.3334  0.6667  0.4767  6 Se 2.55-2.57
Mo  0.3333  0.6667  0.0935  6 Te 2.71
W  0.6667  0.3334  0.6575  6 S 2.46
W  0.6666  0.3332  0.2739  6 Se 2.55-2.56
Se  0.3332  0.6665  0.3108  3 W 2.56
Se  0.3333  0.6666  0.2372  3 W 2.55
Se  0.6667  0.3334  0.4396  3 Mo 2.57
Se  0.6666  0.3333  0.5131  3 Mo 2.55
S  0.3334  0.6667  0.6908  3 W 2.46
S  0.3334  0.6669  0.6242  3 W 2.46
Mg  0.0000  0.9999  0.3795  6 Mg 3.33, 6 Se 3.36-3.69
Te  0.6666  0.3333  0.1350  3 Mo 2.71
Te  0.6667  0.3334  0.0520  3 Mo 2.71

=====

Record 3
VASP calculation (PBE) on a geometry-optimized K2NaLuCl6 structure.

Computed properties:
**SG**: Fm-3m, No. 225
**Calculated density**: 2.71 g/cm3
**Crystal system**: cubic
**ΔE_f**: -2.433 eV/atom

Cell: 7.5060 7.5060 7.5060 Å, 60.00 60.00 60.00°
With the nearest neighbours (Å) after each atom.
Atoms (fractional coordinates):
Cl  0.2423  0.7577  0.2423  1 Lu 2.57, 1 Na 2.74
Cl  0.2423  0.7577  0.7577  1 Lu 2.57, 1 Na 2.74
Cl  0.7577  0.2423  0.2423  1 Lu 2.57, 1 Na 2.74
Cl  0.2423  0.2423  0.7577  1 Lu 2.57, 1 Na 2.74
Cl  0.7577  0.2423  0.7577  1 Lu 2.57, 1 Na 2.74
Cl  0.7577  0.7577  0.2423  1 Lu 2.57, 1 Na 2.74
K  0.2500  0.2500  0.2500  12 Cl 3.75
K  0.7500  0.7500  0.7500  12 Cl 3.75
Lu  0.0000  0.0000  0.0000  6 Cl 2.57
Na  0.5000  0.5000  0.5000  6 Cl 2.74

=====

Record 4
VASP calculation (PBE) on a geometry-optimized ScI3 structure.

Computed properties:
**SG**: P6_3/mmc, No. 194
**Calculated density**: 3.04 g/cm3
**Crystal system**: hexagonal
**ΔE_f**: -1.473 eV/atom

Cell: 11.8701 11.8701 3.8153 Å, 90.00 90.00 120.00°
With the nearest neighbours (Å) after each atom.
Atoms (fractional coordinates):
Sc  0.6667  0.3333  0.2500  6 I 2.93
Sc  0.3333  0.6667  0.7500  6 I 2.93
I  0.7746  0.5491  0.7500  2 Sc 2.93
I  0.7746  0.2254  0.7500  2 Sc 2.93
I  0.5491  0.7746  0.2500  2 Sc 2.93
I  0.2254  0.4509  0.2500  2 Sc 2.93
I  0.4509  0.2254  0.7500  2 Sc 2.93
I  0.2254  0.7746  0.2500  2 Sc 2.93

=====

Record 5
VASP calculation (PBE) on a geometry-optimized Sr3LaCuRuO8 structure.

Computed properties:
**SG**: Amm2, No. 38
**Calculated density**: 5.86 g/cm3
**Crystal system**: orthorhombic
**ΔE_f**: -2.557 eV/atom

Cell: 6.8677 6.8677 5.6058 Å, 90.00 90.00 131.94°
With the nearest neighbours (Å) after each atom.
Atoms (fractional coordinates):
Sr  0.8584  0.1416  0.5000  5 O 2.47-2.65
Sr  0.1412  0.8588  0.5000  5 O 2.46-2.70
Sr  0.6429  0.3571  0.0000  1 O 2.39
Cu  0.0021  0.9979  0.0000  6 O 2.01-2.17
O  0.2538  0.2607  0.2510  1 Ru 1.95, 1 Cu 2.01
O  0.8337  0.1663  0.0000  1 Cu 2.11
O  0.2538  0.2607  0.7490  1 Ru 1.95, 1 Cu 2.01
O  0.7393  0.7462  0.7490  1 Ru 1.95, 1 Cu 2.01
O  0.1748  0.8252  0.0000  1 Cu 2.17, 1 La 2.29
O  0.6619  0.3381  0.5000  1 Ru 1.98
O  0.7393  0.7462  0.2510  1 Ru 1.95, 1 Cu 2.01
O  0.3372  0.6628  0.5000  1 Ru 2.09
La  0.3575  0.6425  0.0000  1 O 2.29
Ru  0.5042  0.4958  0.5000  6 O 1.95-2.09

=====

Record 6
VASP calculation (PBE) on a geometry-optimized Na3YF6 structure.

Computed properties:
**SG**: Fm-3m, No. 225
**Calculated density**: 2.68 g/cm3
**Crystal system**: cubic
**ΔE_f**: -3.386 eV/atom

Cell: 6.2012 6.2012 6.2012 Å, 60.00 60.00 60.00°
With the nearest neighbours (Å) after each atom.
Atoms (fractional coordinates):
Na  0.5000  0.5000  0.5000  6 F 2.22
Na  0.7500  0.7500  0.7500  12 F 3.10
Na  0.2500  0.2500  0.2500  12 F 3.10
F  0.2469  0.7531  0.7531  1 Y 2.16, 1 Na 2.22
F  0.7531  0.7531  0.2469  1 Y 2.16, 1 Na 2.22
F  0.2469  0.7531  0.2469  1 Y 2.16, 1 Na 2.22
F  0.7531  0.2469  0.7531  1 Y 2.16, 1 Na 2.22
F  0.7531  0.2469  0.2469  1 Y 2.16, 1 Na 2.22
F  0.2469  0.2469  0.7531  1 Y 2.16, 1 Na 2.22
Y  0.0000  0.0000  0.0000  6 F 2.16

=====

Record 7
VASP calculation (PBE) on a geometry-optimized HfBr4 structure.

Computed properties:
**SG**: Pa-3, No. 205
**Calculated density**: 3.37 g/cm3
**Crystal system**: cubic
**ΔE_f**: -1.815 eV/atom

Cell: 12.5246 12.5246 12.5246 Å, 90.00 90.00 90.00°
With the nearest neighbours (Å) after each atom.
Atoms (fractional coordinates):
Br  0.4880  0.7600  0.5142  1 Hf 2.46
Br  0.2399  0.2399  0.2399  1 Hf 2.46
Br  0.5142  0.4880  0.7600  1 Hf 2.46
Br  0.9880  0.7400  0.4858  1 Hf 2.46
Br  0.5120  0.2600  0.9858  1 Hf 2.46
Br  0.7399  0.2399  0.2601  1 Hf 2.46
Br  0.4858  0.5120  0.2400  1 Hf 2.46
Br  0.7600  0.9858  0.9880  1 Hf 2.46
Br  0.4880  0.7400  0.0142  1 Hf 2.46
Br  0.9858  0.5120  0.2600  1 Hf 2.46
Br  0.2601  0.7399  0.2399  1 Hf 2.46
Br  0.2399  0.2601  0.7399  1 Hf 2.46
Br  0.2600  0.5142  0.0120  1 Hf 2.46
Br  0.0142  0.4880  0.7400  1 Hf 2.46
Br  0.5120  0.2400  0.4858  1 Hf 2.46
Br  0.7601  0.7601  0.7601  1 Hf 2.46
Br  0.2400  0.0142  0.0120  1 Hf 2.46
Br  0.7601  0.7399  0.2601  1 Hf 2.46
Br  0.4858  0.9880  0.7400  1 Hf 2.46
Br  0.9858  0.9880  0.7600  1 Hf 2.46
Br  0.2600  0.9858  0.5120  1 Hf 2.46
Br  0.7399  0.2601  0.7601  1 Hf 2.46
Br  0.0120  0.2400  0.0142  1 Hf 2.46
Br  0.7400  0.0142  0.4880  1 Hf 2.46
Br  0.0120  0.2600  0.5142  1 Hf 2.46
Br  0.0142  0.0120  0.2400  1 Hf 2.46
Br  0.9880  0.7600  0.9858  1 Hf 2.46
Br  0.7600  0.5142  0.4880  1 Hf 2.46
Br  0.2400  0.4858  0.5120  1 Hf 2.46
Br  0.5142  0.0120  0.2600  1 Hf 2.46
Br  0.2601  0.7601  0.7399  1 Hf 2.46
Br  0.7400  0.4858  0.9880  1 Hf 2.46
Hf  0.6265  0.1265  0.3735  4 Br 2.46
Hf  0.1265  0.1265  0.1265  4 Br 2.46
Hf  0.3735  0.8735  0.6265  4 Br 2.46
Hf  0.1265  0.3735  0.6265  4 Br 2.46
Hf  0.8735  0.8735  0.8735  4 Br 2.46
Hf  0.3735  0.6265  0.1265  4 Br 2.46
Hf  0.8735  0.6265  0.3735  4 Br 2.46
Hf  0.6265  0.3735  0.8735  4 Br 2.46

=====

Record 8
VASP calculation (PBE) on a geometry-optimized Li8BiS6 structure.

Computed properties:
**Energy above the lowest structure with this stoichiometry**: 0 meV/atom
**SG**: R-3, No. 148
**Calculated density**: 2.84 g/cm3
**Crystal system**: trigonal
**ΔE_f**: -1.251 eV/atom

Cell: 7.5715 7.5715 7.5715 Å, 54.50 54.50 54.50°
With the nearest neighbours (Å) after each atom.
Atoms (fractional coordinates):
Li  0.6543  0.6543  0.6543  3 S 2.64
Li  0.8965  0.5234  0.2157  4 S 2.41-2.49
Li  0.5234  0.2157  0.8965  4 S 2.41-2.49
Li  0.3457  0.3457  0.3457  3 S 2.64
Li  0.1035  0.4766  0.7843  4 S 2.41-2.49
Li  0.4766  0.7843  0.1035  4 S 2.41-2.49
Li  0.7843  0.1035  0.4766  4 S 2.41-2.49
Li  0.2157  0.8965  0.5234  4 S 2.41-2.49
S  0.2485  0.6008  0.9021  5 Li 2.41-2.64
S  0.7515  0.3992  0.0979  5 Li 2.41-2.64
S  0.0979  0.7515  0.3992  5 Li 2.41-2.64
S  0.3992  0.0979  0.7515  5 Li 2.41-2.64
S  0.9021  0.2485  0.6008  5 Li 2.41-2.64
S  0.6008  0.9021  0.2485  5 Li 2.41-2.64
Bi  0.0000  0.0000  0.0000  6 S 2.76